Record 1
Material: Mn3Fe8N9
Method: DFT, PBE
State: relaxed

Unit cell a=6.5200 b=7.3206 c=16.1016 alpha=90.00 beta=96.21 gamma=90.00
Fractional coordinates of all 80 atoms:
Mn 0.4608 0.0991 0.7362
Mn 0.5392 0.5991 0.7638
Mn 0.5392 0.9009 0.2638
Mn 0.4608 0.4009 0.2362
Mn 0.7486 0.7986 0.5488
Mn 0.2514 0.2986 0.9512
Mn 0.2514 0.2014 0.4512
Mn 0.7486 0.7014 0.0488
Mn 0.7376 0.4526 0.5518
Mn 0.2624 0.9526 0.9482
Mn 0.2624 0.5474 0.4482
Mn 0.7376 0.0474 0.0518
Fe 0.4418 0.8673 0.1074
Fe 0.5582 0.3673 0.3926
Fe 0.5582 0.1327 0.8926
Fe 0.4418 0.6327 0.6074
Fe 0.5159 0.1234 0.5684
Fe 0.4841 0.6234 0.9316
Fe 0.4841 0.8766 0.4316
Fe 0.5159 0.3766 0.0684
Fe 0.7304 0.8425 0.7076
Fe 0.2696 0.3425 0.7924
Fe 0.2696 0.1575 0.2924
Fe 0.7304 0.6575 0.2076
Fe 0.7290 0.3603 0.7050
Fe 0.2710 0.8603 0.7950
Fe 0.2710 0.6397 0.2950
Fe 0.7290 0.1397 0.2050
Fe 0.7570 0.4094 0.8862
Fe 0.2430 0.9094 0.6138
Fe 0.2430 0.5906 0.1138
Fe 0.7570 0.0906 0.3862
Fe 0.9845 0.1151 0.8710
Fe 0.0155 0.6151 0.6290
Fe 0.0155 0.8849 0.1290
Fe 0.9845 0.3849 0.3710
Fe 0.9727 0.1092 0.6626
Fe 0.0273 0.6092 0.8374
Fe 0.0273 0.8908 0.3374
Fe 0.9727 0.3908 0.1626
Fe 0.2360 0.3378 0.6124
Fe 0.7640 0.8378 0.8876
Fe 0.7640 0.6622 0.3876
Fe 0.2360 0.1622 0.1124
N 0.5265 0.3859 0.6130
N 0.4735 0.8859 0.8870
N 0.4735 0.6141 0.3870
N 0.5265 0.1141 0.1130
N 0.5636 0.3088 0.7971
N 0.4364 0.8088 0.7029
N 0.4364 0.6912 0.2029
N 0.5636 0.1912 0.2971
N 0.8106 0.0630 0.9450
N 0.1894 0.5630 0.5550
N 0.1894 0.9370 0.0550
N 0.8106 0.4370 0.4450
N 0.4676 0.8495 0.5459
N 0.5324 0.3495 0.9541
N 0.5324 0.1505 0.4541
N 0.4676 0.6505 0.0459
N 0.6908 0.0949 0.6716
N 0.3092 0.5949 0.8284
N 0.3092 0.9051 0.3284
N 0.6908 0.4051 0.1716
N 0.9446 0.3624 0.6299
N 0.0554 0.8624 0.8701
N 0.0554 0.6376 0.3701
N 0.9446 0.1376 0.1299
N 0.0413 0.3616 0.8697
N 0.9587 0.8616 0.6303
N 0.9587 0.6384 0.1303
N 0.0413 0.1384 0.3697
N 0.2126 0.1220 0.5541
N 0.7874 0.6220 0.9459
N 0.7874 0.8780 0.4459
N 0.2126 0.3780 0.0541
N 0.1773 0.1071 0.7512
N 0.8227 0.6071 0.7488
N 0.8227 0.8929 0.2488
N 0.1773 0.3929 0.2512

Energy of formation from the pure elements ... -0.07 eV/atom
Size of the total moment ... 0.10 μB/atom

=====

Record 2
Material: SiBi15O25
Method: DFT, PBE
State: relaxed

Unit cell a=16.9947 b=16.9947 c=16.9947 alpha=50.47 beta=50.47 gamma=50.47
Fractional coordinates of all 164 atoms:
Si 0.7997 0.7997 0.7997
Si 0.6002 0.6002 0.6002
Si 0.4000 0.4000 0.4000
Si 0.2003 0.2003 0.2003
Bi 0.9115 0.7196 0.5750
Bi 0.9703 0.7990 0.2829
Bi 0.8155 0.5120 0.6773
Bi 0.8939 0.5606 0.3955
Bi 0.9211 0.7871 0.0994
Bi 0.8116 0.3110 0.6167
Bi 0.9960 0.4965 0.1595
Bi 0.7128 0.5193 0.3780
Bi 0.8727 0.0160 0.7128
Bi 0.9161 0.2140 0.4068
Bi 0.7573 0.5993 0.0918
Bi 0.9785 0.3115 0.1164
Bi 0.6166 0.3142 0.4744
Bi 0.8164 0.0095 0.5096
Bi 0.6913 0.3600 0.2005
Bi 0.7196 0.5750 0.9115
Bi 0.9059 0.0777 0.2110
Bi 0.6053 0.1140 0.4176
Bi 0.7990 0.2829 0.9703
Bi 0.5096 0.3217 0.1780
Bi 0.6773 0.8155 0.5120
Bi 0.7186 0.0242 0.2025
Bi 0.5606 0.3955 0.8939
Bi 0.7871 0.0994 0.9211
Bi 0.4182 0.1137 0.2739
Bi 0.6167 0.8116 0.3110
Bi 0.4965 0.1595 0.9960
Bi 0.5193 0.3780 0.7128
Bi 0.7128 0.8727 0.0160
Bi 0.4068 0.9161 0.2140
Bi 0.5993 0.0918 0.7573
Bi 0.3115 0.1164 0.9785
Bi 0.4744 0.6166 0.3142
Bi 0.5096 0.8164 0.0095
Bi 0.3600 0.2005 0.6913
Bi 0.5750 0.9115 0.7196
Bi 0.2110 0.9059 0.0777
Bi 0.4176 0.6053 0.1140
Bi 0.2829 0.9703 0.7990
Bi 0.3217 0.1780 0.5096
Bi 0.5120 0.6773 0.8155
Bi 0.2025 0.7186 0.0242
Bi 0.3955 0.8939 0.5606
Bi 0.0994 0.9211 0.7871
Bi 0.2739 0.4182 0.1137
Bi 0.3110 0.6167 0.8116
Bi 0.1595 0.9960 0.4965
Bi 0.3780 0.7128 0.5193
Bi 0.0160 0.7128 0.8727
Bi 0.2140 0.4068 0.9161
Bi 0.0918 0.7573 0.5993
Bi 0.1164 0.9785 0.3115
Bi 0.3142 0.4744 0.6166
Bi 0.0095 0.5096 0.8164
Bi 0.2005 0.6913 0.3600
Bi 0.0777 0.2110 0.9059
Bi 0.1140 0.4176 0.6053
Bi 0.1780 0.5096 0.3217
Bi 0.0242 0.2025 0.7186
Bi 0.1137 0.2739 0.4182
O 0.9456 0.9456 0.9456
O 0.8769 0.8769 0.8769
O 0.8743 0.6872 0.8758
O 0.8758 0.8743 0.6872
O 0.7622 0.7622 0.7622
O 0.9151 0.5570 0.6766
O 0.9851 0.3452 0.7233
O 0.8497 0.7273 0.4673
O 0.6793 0.6793 0.6793
O 0.8510 0.2235 0.8509
O 0.8509 0.8510 0.2235
O 0.9456 0.3241 0.5841
O 0.6748 0.4873 0.6758
O 0.6758 0.6748 0.4873
O 0.8711 0.6325 0.2512
O 0.8765 0.1151 0.7546
O 0.8378 0.4413 0.4420
O 0.5626 0.5626 0.5626
O 0.9258 0.1844 0.5422
O 0.9266 0.6698 0.0456
O 0.8526 0.4711 0.2333
O 0.7138 0.3575 0.4773
O 0.7852 0.1423 0.5248
O 0.6476 0.5267 0.2672
O 0.4791 0.4791 0.4791
O 0.8331 0.4535 0.0692
O 0.9541 0.0782 0.3160
O 0.6413 0.0379 0.6405
O 0.6405 0.6413 0.0379
O 0.7407 0.1270 0.3837
O 0.8665 0.2500 0.1279
O 0.4747 0.2873 0.4755
O 0.4755 0.4747 0.2873
O 0.6693 0.4314 0.0554
O 0.6766 0.9151 0.5570
O 0.6311 0.2459 0.2460
O 0.3624 0.3624 0.3624
O 0.7233 0.9851 0.3452
O 0.7273 0.4673 0.8497
O 0.8375 0.1087 0.1083
O 0.6500 0.2721 0.0336
O 0.5152 0.1583 0.2773
O 0.5841 0.9456 0.3241
O 0.4469 0.3273 0.0683
O 0.2797 0.2797 0.2797
O 0.6325 0.2512 0.8711
O 0.7546 0.8765 0.1151
O 0.4420 0.8378 0.4413
O 0.4413 0.4420 0.8378
O 0.5422 0.9258 0.1844
O 0.6698 0.0456 0.9266
O 0.2767 0.0872 0.2738
O 0.2738 0.2767 0.0872
O 0.4711 0.2333 0.8526
O 0.4773 0.7138 0.3575
O 0.4387 0.0420 0.0407
O 0.1624 0.1624 0.1624
O 0.5248 0.7852 0.1423
O 0.5267 0.2672 0.6476
O 0.6872 0.8758 0.8743
O 0.4535 0.0692 0.8331
O 0.3160 0.9541 0.0782
O 0.3837 0.7407 0.1270
O 0.2500 0.1279 0.8665
O 0.0746 0.0746 0.0746
O 0.4314 0.0554 0.6693
O 0.5570 0.6766 0.9151
O 0.2460 0.6311 0.2459
O 0.2459 0.2460 0.6311
O 0.3452 0.7233 0.9851
O 0.4673 0.8497 0.7273
O 0.1083 0.8375 0.1087
O 0.1087 0.1083 0.8375
O 0.2721 0.0336 0.6500
O 0.2773 0.5152 0.1583
O 0.2235 0.8509 0.8510
O 0.3241 0.5841 0.9456
O 0.3273 0.0683 0.4469
O 0.4873 0.6758 0.6748
O 0.2512 0.8711 0.6325
O 0.1151 0.7546 0.8765
O 0.1844 0.5422 0.9258
O 0.0456 0.9266 0.6698
O 0.2333 0.8526 0.4711
O 0.3575 0.4773 0.7138
O 0.0407 0.4387 0.0420
O 0.0420 0.0407 0.4387
O 0.1423 0.5248 0.7852
O 0.2672 0.6476 0.5267
O 0.0692 0.8331 0.4535
O 0.0782 0.3160 0.9541
O 0.0379 0.6405 0.6413
O 0.1270 0.3837 0.7407
O 0.1279 0.8665 0.2500
O 0.2873 0.4755 0.4747
O 0.0554 0.6693 0.4314
O 0.0336 0.6500 0.2721
O 0.1583 0.2773 0.5152
O 0.0683 0.4469 0.3273
O 0.0872 0.2738 0.2767

Energy of formation from the pure elements ... -1.72 eV/atom
Size of the total moment ... 0.01 μB/atom

=====

Record 3
Material: TbNdCo14B
Method: DFT, PBE
State: relaxed

Unit cell a=8.5937 b=8.5937 c=11.7070 alpha=90.00 beta=90.00 gamma=90.00
Fractional coordinates of all 68 atoms:
Tb 0.2240 0.7760 0.5000
Tb 0.7760 0.2240 0.5000
Tb 0.2760 0.2760 0.0000
Tb 0.7240 0.7240 0.0000
Nd 0.6434 0.6434 0.5000
Nd 0.3566 0.3566 0.5000
Nd 0.8566 0.1434 0.0000
Nd 0.1434 0.8566 0.0000
Co 0.4010 0.5990 0.2954
Co 0.5990 0.4010 0.2954
Co 0.0990 0.0990 0.7954
Co 0.9010 0.9010 0.7954
Co 0.5990 0.4010 0.7046
Co 0.4010 0.5990 0.7046
Co 0.9010 0.9010 0.2046
Co 0.0990 0.0990 0.2046
Co 0.1822 0.8178 0.2546
Co 0.8178 0.1822 0.2546
Co 0.3178 0.3178 0.7546
Co 0.6822 0.6822 0.7546
Co 0.8178 0.1822 0.7454
Co 0.1822 0.8178 0.7454
Co 0.6822 0.6822 0.2454
Co 0.3178 0.3178 0.2454
Co 0.0000 0.5000 0.5000
Co 0.5000 0.0000 0.0000
Co 0.5000 0.0000 0.5000
Co 0.0000 0.5000 0.0000
Co 0.1403 0.5375 0.3220
Co 0.8597 0.4625 0.3220
Co 0.3597 0.0375 0.8220
Co 0.6403 0.9625 0.8220
Co 0.8597 0.4625 0.6780
Co 0.1403 0.5375 0.6780
Co 0.6403 0.9625 0.1780
Co 0.3597 0.0375 0.1780
Co 0.5375 0.1403 0.3220
Co 0.4625 0.8597 0.3220
Co 0.0375 0.3597 0.8220
Co 0.9625 0.6403 0.8220
Co 0.4625 0.8597 0.6780
Co 0.5375 0.1403 0.6780
Co 0.9625 0.6403 0.1780
Co 0.0375 0.3597 0.1780
Co 0.9319 0.7241 0.3738
Co 0.0681 0.2759 0.3738
Co 0.5681 0.2241 0.8738
Co 0.4319 0.7759 0.8738
Co 0.0681 0.2759 0.6262
Co 0.9319 0.7241 0.6262
Co 0.4319 0.7759 0.1262
Co 0.5681 0.2241 0.1262
Co 0.7241 0.9319 0.3738
Co 0.2759 0.0681 0.3738
Co 0.2241 0.5681 0.8738
Co 0.7759 0.4319 0.8738
Co 0.2759 0.0681 0.6262
Co 0.7241 0.9319 0.6262
Co 0.7759 0.4319 0.1262
Co 0.2241 0.5681 0.1262
Co 0.5000 0.5000 0.1156
Co 0.0000 0.0000 0.6156
Co 0.5000 0.5000 0.8844
Co 0.0000 0.0000 0.3844
B 0.8773 0.8773 0.5000
B 0.1227 0.1227 0.5000
B 0.6227 0.3773 0.0000
B 0.3773 0.6227 0.0000

Energy of formation from the pure elements ... -0.15 eV/atom
Size of the total moment ... 1.07 μB/atom

=====

Record 4
Material: CsRb2YCl6
Method: DFT, PBE
State: relaxed

Unit cell a=8.3530 b=8.3530 c=8.3530 alpha=60.00 beta=60.00 gamma=60.00
Fractional coordinates of all 10 atoms:
Cs 0.5000 0.5000 0.5000
Rb 0.7500 0.7500 0.7500
Rb 0.2500 0.2500 0.2500
Y 0.0000 0.0000 0.0000
Cl 0.7764 0.2236 0.2236
Cl 0.2236 0.2236 0.7764
Cl 0.2236 0.7764 0.7764
Cl 0.2236 0.7764 0.2236
Cl 0.7764 0.2236 0.7764
Cl 0.7764 0.7764 0.2236

Energy of formation from the pure elements ... -2.42 eV/atom
Size of the total moment ... 0.00 μB/atom

=====

Please write out number 1 again, unchanged.
Material: Mn3Fe8N9
Method: DFT, PBE
State: relaxed

Unit cell a=6.5200 b=7.3206 c=16.1016 alpha=90.00 beta=96.21 gamma=90.00
Fractional coordinates of all 80 atoms:
Mn 0.4608 0.0991 0.7362
Mn 0.5392 0.5991 0.7638
Mn 0.5392 0.9009 0.2638
Mn 0.4608 0.4009 0.2362
Mn 0.7486 0.7986 0.5488
Mn 0.2514 0.2986 0.9512
Mn 0.2514 0.2014 0.4512
Mn 0.7486 0.7014 0.0488
Mn 0.7376 0.4526 0.5518
Mn 0.2624 0.9526 0.9482
Mn 0.2624 0.5474 0.4482
Mn 0.7376 0.0474 0.0518
Fe 0.4418 0.8673 0.1074
Fe 0.5582 0.3673 0.3926
Fe 0.5582 0.1327 0.8926
Fe 0.4418 0.6327 0.6074
Fe 0.5159 0.1234 0.5684
Fe 0.4841 0.6234 0.9316
Fe 0.4841 0.8766 0.4316
Fe 0.5159 0.3766 0.0684
Fe 0.7304 0.8425 0.7076
Fe 0.2696 0.3425 0.7924
Fe 0.2696 0.1575 0.2924
Fe 0.7304 0.6575 0.2076
Fe 0.7290 0.3603 0.7050
Fe 0.2710 0.8603 0.7950
Fe 0.2710 0.6397 0.2950
Fe 0.7290 0.1397 0.2050
Fe 0.7570 0.4094 0.8862
Fe 0.2430 0.9094 0.6138
Fe 0.2430 0.5906 0.1138
Fe 0.7570 0.0906 0.3862
Fe 0.9845 0.1151 0.8710
Fe 0.0155 0.6151 0.6290
Fe 0.0155 0.8849 0.1290
Fe 0.9845 0.3849 0.3710
Fe 0.9727 0.1092 0.6626
Fe 0.0273 0.6092 0.8374
Fe 0.0273 0.8908 0.3374
Fe 0.9727 0.3908 0.1626
Fe 0.2360 0.3378 0.6124
Fe 0.7640 0.8378 0.8876
Fe 0.7640 0.6622 0.3876
Fe 0.2360 0.1622 0.1124
N 0.5265 0.3859 0.6130
N 0.4735 0.8859 0.8870
N 0.4735 0.6141 0.3870
N 0.5265 0.1141 0.1130
N 0.5636 0.3088 0.7971
N 0.4364 0.8088 0.7029
N 0.4364 0.6912 0.2029
N 0.5636 0.1912 0.2971
N 0.8106 0.0630 0.9450
N 0.1894 0.5630 0.5550
N 0.1894 0.9370 0.0550
N 0.8106 0.4370 0.4450
N 0.4676 0.8495 0.5459
N 0.5324 0.3495 0.9541
N 0.5324 0.1505 0.4541
N 0.4676 0.6505 0.0459
N 0.6908 0.0949 0.6716
N 0.3092 0.5949 0.8284
N 0.3092 0.9051 0.3284
N 0.6908 0.4051 0.1716
N 0.9446 0.3624 0.6299
N 0.0554 0.8624 0.8701
N 0.0554 0.6376 0.3701
N 0.9446 0.1376 0.1299
N 0.0413 0.3616 0.8697
N 0.9587 0.8616 0.6303
N 0.9587 0.6384 0.1303
N 0.0413 0.1384 0.3697
N 0.2126 0.1220 0.5541
N 0.7874 0.6220 0.9459
N 0.7874 0.8780 0.4459
N 0.2126 0.3780 0.0541
N 0.1773 0.1071 0.7512
N 0.8227 0.6071 0.7488
N 0.8227 0.8929 0.2488
N 0.1773 0.3929 0.2512

Energy of formation from the pure elements ... -0.07 eV/atom
Size of the total moment ... 0.10 μB/atom